Here is Mn3Cr8CuS16 after structural relaxation from Materials Project. Energies are from PBE-GGA.

```
data_Mn3Cr8CuS16
_space_group_name_H-M_alt 'R 3 m'
_space_group_IT_number 160
_space_group_name_Hall 'R 3 -2"'
_cell_length_a 7.1234
_cell_length_b 7.1234
_cell_length_c 34.7329
_cell_angle_alpha 90.00
_cell_angle_beta 90.00
_cell_angle_gamma 120.00
loop_
_atom_site_label
_atom_site_fract_x
_atom_site_fract_y
_atom_site_fract_z
_atom_site_occupancy
Mn1 0.0000 0.0000 0.0000 1
Mn2 0.0000 0.0000 0.1246 1
Mn3 0.0000 0.0000 0.4999 1
Cr1 0.0000 0.0000 0.3109 1
Cr2 0.0000 0.0000 0.8125 1
Cr3 0.1682 0.3364 0.3949 1
Cr4 0.1686 0.3373 0.8970 1
Cu1 0.0000 0.0000 0.6247 1
S1 0.0000 0.0000 0.1923 1
S2 0.0000 0.0000 0.4315 1
S3 0.0000 0.0000 0.6919 1
S4 0.0000 0.0000 0.9325 1
S5 0.0227 0.5114 0.9359 1
S6 0.0271 0.5136 0.4357 1
S7 0.1800 0.3600 0.0222 1
S8 0.1811 0.3622 0.5227 1
```

Calculated values
The calculation puts the MP2020-corrected energy at -7.217 eV per atom.

***

Here is NbCr3Cu2S8 after structural relaxation from Materials Project. Energies are from PBE-GGA.

```
data_NbCr3Cu2S8
_space_group_name_H-M_alt 'P 1 c 1'
_space_group_IT_number 7
_cell_length_a 11.859
_cell_length_b 6.972
_cell_length_c 11.392
_cell_angle_alpha 90.00
_cell_angle_beta 90.03
_cell_angle_gamma 90.00
loop_
_space_group_symop_operation_xyz
'x,y,z'
'x,-y,z+1/2'
loop_
_atom_site_label
_atom_site_fract_x
_atom_site_fract_y
_atom_site_fract_z
_atom_site_occupancy
Nb1 0.000 0.119 0.000 1
Nb2 0.352 0.366 0.544 1
Cr1 0.199 0.146 0.772 1
Cr2 0.242 0.394 0.240 1
Cr3 0.488 0.135 0.300 1
Cr4 0.695 0.109 0.547 1
Cr5 0.722 0.395 0.063 1
Cr6 0.850 0.366 0.783 1
Cu1 0.357 0.095 0.031 1
Cu2 0.513 0.359 0.818 1
Cu3 0.841 0.119 0.286 1
Cu4 0.990 0.374 0.517 1
S1 0.030 0.130 0.375 1
S2 0.044 0.368 0.866 1
S3 0.159 0.371 0.621 1
S4 0.164 0.122 0.128 1
S5 0.295 0.150 0.377 1
S6 0.313 0.385 0.879 1
S7 0.394 0.122 0.684 1
S8 0.414 0.360 0.156 1
S9 0.536 0.084 0.941 1
S10 0.543 0.369 0.440 1
S11 0.661 0.136 0.191 1
S12 0.668 0.358 0.692 1
S13 0.795 0.149 0.935 1
S14 0.811 0.385 0.426 1
S15 0.883 0.113 0.640 1
S16 0.901 0.385 0.148 1
```

Calculated values
The polymorph energy (0 for the lowest one) is 340 kJ/mol of formula units. The calculation puts the MP2020-corrected energy at -6.464 eV per atom.